No. 1
# Ba2Cr3O8 | the Materials Project | PBE with a Hubbard U | relaxed
# VASP energy: -0.253 hartree per atom
# ΔE_f: -2195.1 meV/atom
# total magnetization: 0.46 μB/atom
data_Ba2Cr3O8
_space_group_name_H-M_alt 'P 4/m m m'
_space_group_IT_number 123
_space_group_name_Hall '-P 4 2'
_cell_length_a 3.8682
_cell_length_b 3.8682
_cell_length_c 12.1468
_cell_angle_alpha 90.00
_cell_angle_beta 90.00
_cell_angle_gamma 90.00
loop_
_atom_site_label
_atom_site_fract_x
_atom_site_fract_y
_atom_site_fract_z
Ba1 0.0000 0.0000 0.1721
Cr1 0.5000 0.5000 0.0000
Cr2 0.5000 0.5000 0.3320
O1 0.0000 0.5000 0.0000
O2 0.0000 0.5000 0.3477
O3 0.5000 0.5000 0.1737


No. 2
# Na2CoP4H16O20 | the Materials Project | PBE with a Hubbard U | relaxed
# VASP energy: -0.212 hartree per atom
# ΔE_f: -1820.3 meV/atom
# total magnetization: 0.02 μB/atom
data_Na2CoP4H16O20
_space_group_name_H-M_alt 'P 1 21/c 1'
_space_group_IT_number 14
_space_group_name_Hall '-P 2ybc'
_cell_length_a 7.2506
_cell_length_b 10.8471
_cell_length_c 12.1711
_cell_angle_alpha 90.00
_cell_angle_beta 115.61
_cell_angle_gamma 90.00
loop_
_atom_site_label
_atom_site_fract_x
_atom_site_fract_y
_atom_site_fract_z
Na1 0.2059 0.1696 0.4583
Co1 0.5000 0.0000 0.0000
P1 0.0435 0.0453 0.7797
P2 0.3200 0.7432 0.0835
H1 0.0875 0.5846 0.4241
H2 0.1012 0.6132 0.9441
H3 0.1368 0.7071 0.7111
H4 0.2630 0.0902 0.1047
H5 0.3401 0.0365 0.6972
H6 0.4701 0.1649 0.1552
H7 0.4828 0.5701 0.1061
H8 0.4897 0.6200 0.8060
O1 0.0110 0.1848 0.8079
O2 0.0334 0.0389 0.1398
O3 0.0892 0.5187 0.8541
O4 0.1100 0.6728 0.0142
O5 0.2726 0.0268 0.8225
O6 0.3128 0.6365 0.5175
O7 0.3527 0.7410 0.7161
O8 0.3594 0.1317 0.0793
O9 0.4082 0.0571 0.6439
O10 0.4940 0.6577 0.0775


No. 3
# Na3GdV2O8 | the Materials Project | PBE with a Hubbard U | relaxed
# VASP energy: -0.273 hartree per atom
# polymorph energy (0 for the lowest one): 0.0 kJ/mol of formula units
# ΔE_f: -2660.8 meV/atom
# total magnetization: 0.50 μB/atom
data_Na3GdV2O8
_space_group_name_H-M_alt 'C 1 c 1'
_space_group_IT_number 9
_space_group_name_Hall 'C -2yc'
_cell_length_a 29.3169
_cell_length_b 5.6275
_cell_length_c 14.3559
_cell_angle_alpha 90.00
_cell_angle_beta 91.43
_cell_angle_gamma 90.00
loop_
_atom_site_label
_atom_site_fract_x
_atom_site_fract_y
_atom_site_fract_z
Na1 0.0000 0.0033 0.0000
Na2 0.0682 0.4912 0.0580
Na3 0.1272 0.0188 0.9102
Na4 0.1913 0.4945 0.4730
Na5 0.2289 0.0109 0.0910
Na6 0.2931 0.4520 0.3175
Na7 0.3485 0.0095 0.2369
Na8 0.4007 0.4454 0.6574
Na9 0.4693 0.0151 0.3772
Gd1 0.0226 0.0378 0.2523
Gd2 0.1704 0.4622 0.2168
Gd3 0.3475 0.0992 0.9830
V1 0.0755 0.4865 0.8332
V2 0.1163 0.0074 0.6323
V3 0.2350 0.0299 0.8406
V4 0.2898 0.4515 0.5845
V5 0.4041 0.4568 0.3907
V6 0.4578 0.0320 0.1307
O1 0.0450 0.2809 0.3821
O2 0.0509 0.2210 0.8702
O3 0.0583 0.0032 0.6020
O4 0.0724 0.4910 0.2143
O5 0.1181 0.0395 0.2506
O6 0.1336 0.4994 0.8640
O7 0.1423 0.2735 0.6009
O8 0.1454 0.2273 0.0794
O9 0.2065 0.0673 0.4368
O10 0.2181 0.1464 0.2446
O11 0.2206 0.3284 0.8174
O12 0.2328 0.4628 0.6178
O13 0.2932 0.4102 0.9763
O14 0.2940 0.0091 0.3585
O15 0.3062 0.1489 0.5799
O16 0.3242 0.3809 0.1585
O17 0.3690 0.3657 0.8216
O18 0.3885 0.1527 0.3871
O19 0.3994 0.0171 0.6078
O20 0.3991 0.4215 0.0013
O21 0.4610 0.4766 0.3591
O22 0.4694 0.3291 0.1620
O23 0.4732 0.1516 0.7247
O24 0.4887 0.0497 0.5354


Q: The lowest total magnetization belongs to which entry?
A: Na2CoP4H16O20